Here is crystalline Na8Al6Si6SO28 at its relaxed geometry from the Materials Project database. Energies are from PBE.

abc: 9.1674 9.1674 9.1674
angles: 90.00 90.00 90.00
Last column: nearest neighbours and their distance in Å.
Fractional coordinates of all 49 atoms:
Na  0.1931  0.1931  0.1931  3 O 2.46
Na  0.1931  0.8069  0.8069  3 O 2.46
Na  0.2414  0.2414  0.7586  4 O 2.31-2.34
Na  0.2414  0.7586  0.2414  4 O 2.31-2.34
Na  0.7586  0.2414  0.2414  4 O 2.31-2.34
Na  0.7586  0.7586  0.7586  4 O 2.31-2.34
Na  0.8069  0.1931  0.8069  3 O 2.46
Na  0.8069  0.8069  0.1931  3 O 2.46
Al  0.0000  0.2505  0.5000  4 O 1.76
Al  0.0000  0.7495  0.5000  4 O 1.76
Al  0.2505  0.5000  0.0000  4 O 1.76
Al  0.5000  0.0000  0.2505  4 O 1.76
Al  0.5000  0.0000  0.7495  4 O 1.76
Al  0.7495  0.5000  0.0000  4 O 1.76
Si  0.0000  0.5000  0.2496  4 O 1.64
Si  0.0000  0.5000  0.7504  4 O 1.64
Si  0.2496  0.0000  0.5000  4 O 1.64
Si  0.5000  0.2496  0.0000  4 O 1.64
Si  0.5000  0.7504  0.0000  4 O 1.64
Si  0.7504  0.0000  0.5000  4 O 1.64
S  0.0000  0.0000  0.0000  4 O 1.49
O  0.0447  0.3576  0.6523  1 Si 1.64, 1 Al 1.76
O  0.0447  0.6424  0.3477  1 Si 1.64, 1 Al 1.76
O  0.0940  0.0940  0.9060  1 S 1.49
O  0.0940  0.9060  0.0940  1 S 1.49
O  0.1424  0.4536  0.1517  1 Si 1.64, 1 Al 1.76
O  0.1424  0.5464  0.8483  1 Si 1.64, 1 Al 1.76
O  0.1517  0.1424  0.4536  1 Si 1.64, 1 Al 1.76
O  0.1517  0.8576  0.5464  1 Si 1.64, 1 Al 1.76
O  0.3477  0.0447  0.6424  1 Si 1.64, 1 Al 1.76
O  0.3477  0.9553  0.3576  1 Si 1.64, 1 Al 1.76
O  0.3576  0.3477  0.9553  1 Si 1.64, 1 Al 1.76
O  0.3576  0.6523  0.0447  1 Si 1.64, 1 Al 1.76
O  0.4536  0.1517  0.1424  1 Si 1.64, 1 Al 1.76
O  0.4536  0.8483  0.8576  1 Si 1.64, 1 Al 1.76
O  0.5464  0.1517  0.8576  1 Si 1.64, 1 Al 1.76
O  0.5464  0.8483  0.1424  1 Si 1.64, 1 Al 1.76
O  0.6424  0.3477  0.0447  1 Si 1.64, 1 Al 1.76
O  0.6424  0.6523  0.9553  1 Si 1.64, 1 Al 1.76
O  0.6523  0.0447  0.3576  1 Si 1.64, 1 Al 1.76
O  0.6523  0.9553  0.6424  1 Si 1.64, 1 Al 1.76
O  0.8483  0.1424  0.5464  1 Si 1.64, 1 Al 1.76
O  0.8483  0.8576  0.4536  1 Si 1.64, 1 Al 1.76
O  0.8576  0.4536  0.8483  1 Si 1.64, 1 Al 1.76
O  0.8576  0.5464  0.1517  1 Si 1.64, 1 Al 1.76
O  0.9060  0.0940  0.0940  1 S 1.49
O  0.9060  0.9060  0.9060  1 S 1.49
O  0.9553  0.3576  0.3477  1 Si 1.64, 1 Al 1.76
O  0.9553  0.6424  0.6523  1 Si 1.64, 1 Al 1.76

As for the maximum piezoelectric response: 0.32 C/m². The calculation puts the formation energy at -3.0195 eV/atom. The value obtained for the energy is -6.88 eV per atom.